Material: PrSiGe
Method: DFT, PBE-GGA
State: relaxed

Cell: 8.2748 8.2748 8.2748 Å, 151.04 150.36 41.91°
Closest atoms and distances in Å follow each position.
Fractional coordinates of all 6 atoms:
Pr 0.3809 0.6309 0.7500  6 Si 3.21-3.22, 6 Ge 3.23-3.45
Pr 0.6191 0.3691 0.2500  6 Si 3.21-3.22, 6 Ge 3.23-3.45
Si 0.9618 0.2118 0.7500  2 Si 2.38, 1 Ge 2.53
Si 0.0382 0.7882 0.2500  2 Si 2.38, 1 Ge 2.53
Ge 0.7979 0.0479 0.7500  1 Si 2.53, 2 Ge 2.58
Ge 0.2021 0.9521 0.2500  1 Si 2.53, 2 Ge 2.58

The formation energy is -58.53 kJ/mol of atoms. As for the total DFT energy (no corrections): -33.298 eV/cell. For the size of the total moment, the calculation gives 0.0 μB per cell.

Material: Pr5SiGe2
Method: DFT, PBE-GGA
State: relaxed

Cell: 8.9098 8.9098 6.7554 Å, 90.00 90.00 120.09°
Closest atoms and distances in Å follow each position.
Fractional coordinates of all 16 atoms:
Pr 0.3329 0.6680 0.2521  2 Si 3.20-3.21, 4 Ge 3.22-3.24, 2 Pr 3.35-3.41
Pr 0.9981 0.2451 0.5000  2 Si 3.04-3.22, 1 Ge 3.07
Pr 0.6680 0.3329 0.2521  2 Si 3.20-3.21, 4 Ge 3.22-3.24, 2 Pr 3.35-3.41
Pr 0.2455 0.2455 0.0000  3 Ge 3.06-3.22
Pr 0.6680 0.3329 0.7479  2 Si 3.20-3.21, 4 Ge 3.22-3.24, 2 Pr 3.35-3.41
Pr 0.3329 0.6680 0.7479  2 Si 3.20-3.21, 4 Ge 3.22-3.24, 2 Pr 3.35-3.41
Pr 0.9996 0.7535 0.0000  3 Ge 3.05-3.22
Pr 0.2451 0.9981 0.5000  2 Si 3.04-3.22, 1 Ge 3.07
Pr 0.7562 0.7562 0.5000  2 Si 3.06, 1 Ge 3.24
Pr 0.7535 0.9996 0.0000  3 Ge 3.05-3.22
Ge 0.3916 0.3916 0.5000  7 Pr 3.07-3.24
Ge 0.3923 0.0002 0.0000  7 Pr 3.06-3.23
Ge 0.0002 0.3923 0.0000  7 Pr 3.06-3.23
Ge 0.6078 0.6078 0.0000  7 Pr 3.05-3.24
Si 0.6075 0.9995 0.5000  7 Pr 3.04-3.22
Si 0.9995 0.6075 0.5000  7 Pr 3.04-3.22

The formation energy is -60.94 kJ/mol of atoms. As for the total DFT energy (no corrections): -87.257 eV/cell. For the size of the total moment, the calculation gives 0.0 μB per cell.

Material: PrTiGe
Method: DFT, PBE-GGA
State: relaxed

Cell: 4.1537 4.1537 7.9993 Å, 90.00 90.00 90.00°
Closest atoms and distances in Å follow each position.
Fractional coordinates of all 6 atoms:
Pr 0.5000 0.0000 0.6535  5 Ge 3.10-3.45, 4 Ti 3.46
Pr 0.0000 0.5000 0.3465  5 Ge 3.10-3.45, 4 Ti 3.46
Ge 0.0000 0.5000 0.7782  4 Ti 2.73
Ge 0.5000 0.0000 0.2218  4 Ti 2.73
Ti 0.0000 0.0000 0.0000  4 Ge 2.73, 4 Ti 2.94
Ti 0.5000 0.5000 0.0000  4 Ge 2.73, 4 Ti 2.94

The formation energy is -59.37 kJ/mol of atoms. As for the total DFT energy (no corrections): -38.291 eV/cell.

Material: Pr2TiGe2
Method: DFT, PBE-GGA
State: relaxed

Cell: 3.0312 3.0312 14.6409 Å, 90.00 90.00 90.00°
Closest atoms and distances in Å follow each position.
Fractional coordinates of all 5 atoms:
Pr 0.5000 0.5000 0.3795  1 Ge 3.02, 4 Pr 3.03
Pr 0.5000 0.5000 0.6205  1 Ge 3.02, 4 Pr 3.03
Ge 0.5000 0.5000 0.1730  1 Ti 2.53
Ge 0.5000 0.5000 0.8270  1 Ti 2.53
Ti 0.5000 0.5000 0.0000  2 Ge 2.53

The formation energy is 56.95 kJ/mol of atoms. As for the total DFT energy (no corrections): -23.752 eV/cell. For the size of the total moment, the calculation gives 0.2 μB per cell.

Material: PrTiGe3
Method: DFT, PBE-GGA
State: relaxed

Cell: 5.9340 6.2981 6.2981 Å, 120.00 90.00 90.00°
Closest atoms and distances in Å follow each position.
Fractional coordinates of all 10 atoms:
Ti 0.5000 0.0000 0.0000  6 Ge 2.61
Ti 0.0000 0.0000 0.0000  6 Ge 2.61
Ge 0.2500 0.6062 0.8031  2 Ge 2.58, 2 Ti 2.61
Ge 0.2500 0.1969 0.8031  2 Ge 2.58, 2 Ti 2.61
Ge 0.7500 0.3938 0.1969  2 Ge 2.58, 2 Ti 2.61
Ge 0.2500 0.1969 0.3938  2 Ge 2.58, 2 Ti 2.61
Ge 0.7500 0.8031 0.6062  2 Ge 2.58, 2 Ti 2.61
Ge 0.7500 0.8031 0.1969  2 Ge 2.58, 2 Ti 2.61
Pr 0.7500 0.3333 0.6667  12 Ge 3.17-3.32
Pr 0.2500 0.6667 0.3333  12 Ge 3.17-3.32

The formation energy is -63.20 kJ/mol of atoms. As for the total DFT energy (no corrections): -59.641 eV/cell.

Material: PrVGe3
Method: DFT, PBE-GGA
State: relaxed

Cell: 6.2867 6.2867 5.6482 Å, 90.00 90.00 120.00°
Closest atoms and distances in Å follow each position.
Fractional coordinates of all 10 atoms:
Ge 0.8060 0.1940 0.7500  2 V 2.54, 2 Ge 2.63
Ge 0.1940 0.3880 0.2500  2 V 2.54, 2 Ge 2.63
Ge 0.6120 0.8060 0.2500  2 V 2.54, 2 Ge 2.63
Ge 0.3880 0.1940 0.7500  2 V 2.54, 2 Ge 2.63
Ge 0.8060 0.6120 0.7500  2 V 2.54, 2 Ge 2.63
Ge 0.1940 0.8060 0.2500  2 V 2.54, 2 Ge 2.63
V 0.0000 0.0000 0.0000  6 Ge 2.54, 2 V 2.82
V 0.0000 0.0000 0.5000  6 Ge 2.54, 2 V 2.82
Pr 0.6667 0.3333 0.2500  12 Ge 3.16-3.21
Pr 0.3333 0.6667 0.7500  12 Ge 3.16-3.21

The formation energy is -48.79 kJ/mol of atoms. As for the total DFT energy (no corrections): -60.525 eV/cell.